Material: Li2FeP2O7
Method: DFT, GGA+U
State: relaxed

Properties
corrected total energy (MP2020 scheme): -353.48 eV/cell
energy: -6.78 eV/atom
energy above the lowest structure with this stoichiometry: 19 meV per atom
total magnetic moment: 0.333 μB per atom

```
Li2FeP2O7
1.0
5.071 0.000 0.000
0.000 8.503 0.000
0.000 5.801 12.785
O P Li Fe
28 8 8 4
Direct
0.829 0.508 0.568 O
0.408 0.816 0.858 O
0.558 0.834 0.101 O
0.125 0.971 0.120 O
0.372 0.726 0.558 O
0.561 0.699 0.362 O
0.128 0.726 0.058 O
0.625 0.029 0.380 O
0.939 0.699 0.862 O
0.439 0.301 0.638 O
0.875 0.029 0.880 O
0.171 0.492 0.432 O
0.628 0.274 0.442 O
0.217 0.661 0.241 O
0.058 0.166 0.399 O
0.783 0.339 0.759 O
0.671 0.508 0.068 O
0.908 0.184 0.642 O
0.283 0.661 0.741 O
0.942 0.834 0.601 O
0.092 0.816 0.358 O
0.717 0.339 0.259 O
0.872 0.274 0.942 O
0.442 0.166 0.899 O
0.061 0.301 0.138 O
0.592 0.184 0.142 O
0.329 0.492 0.932 O
0.375 0.971 0.620 O
0.765 0.329 0.147 P
0.738 0.192 0.877 P
0.762 0.192 0.377 P
0.262 0.808 0.123 P
0.265 0.671 0.353 P
0.235 0.671 0.853 P
0.238 0.808 0.623 P
0.735 0.329 0.647 P
0.721 0.494 0.924 Li
0.279 0.506 0.076 Li
0.758 0.955 0.174 Li
0.779 0.494 0.424 Li
0.221 0.506 0.576 Li
0.742 0.955 0.674 Li
0.258 0.045 0.326 Li
0.242 0.045 0.826 Li
0.244 0.221 0.021 Fe
0.256 0.221 0.521 Fe
0.744 0.779 0.479 Fe
0.756 0.779 0.979 Fe
```



Material: LiFe2P2O8
Method: DFT, GGA+U
State: relaxed

Properties
corrected total energy (MP2020 scheme): -599.41 eV/cell
energy: -6.91 eV/atom
energy above the lowest structure with this stoichiometry: 32 meV per atom
total magnetic moment: 0.692 μB per atom

```
LiFe2P2O8
1.0
8.179 0.000 0.000
-0.070 8.883 0.000
-0.097 -0.074 15.250
O P Li Fe
48 12 6 12
Direct
0.003 0.480 0.615 O
0.263 0.782 0.302 O
0.745 0.249 0.373 O
0.880 0.470 0.865 O
0.230 0.933 0.814 O
0.121 0.913 0.172 O
0.997 0.906 0.326 O
0.217 0.911 0.496 O
0.500 0.394 0.818 O
0.736 0.457 0.527 O
0.857 0.102 0.828 O
0.502 0.831 0.548 O
0.501 0.982 0.111 O
0.250 0.753 0.631 O
0.241 0.547 0.806 O
0.739 0.579 0.677 O
0.352 0.416 0.671 O
0.771 0.453 0.189 O
0.001 0.530 0.392 O
0.260 0.442 0.993 O
0.719 0.218 0.694 O
0.765 0.067 0.185 O
0.509 0.600 0.182 O
0.221 0.054 0.963 O
0.643 0.983 0.362 O
0.248 0.066 0.297 O
0.262 0.430 0.323 O
0.341 0.793 0.944 O
0.498 0.172 0.463 O
0.496 0.018 0.886 O
0.748 0.730 0.872 O
0.345 0.026 0.633 O
0.994 0.091 0.679 O
0.780 0.944 0.037 O
0.742 0.935 0.705 O
0.775 0.076 0.505 O
0.224 0.264 0.793 O
0.997 0.324 0.039 O
0.126 0.533 0.133 O
0.660 0.206 0.054 O
0.780 0.736 0.206 O
0.741 0.558 0.005 O
0.005 0.678 0.960 O
0.124 0.286 0.446 O
0.253 0.272 0.128 O
0.879 0.710 0.546 O
0.664 0.575 0.327 O
0.260 0.540 0.478 O
0.675 0.590 0.225 P
0.665 0.119 0.427 P
0.839 0.559 0.592 P
0.672 0.046 0.096 P
0.162 0.395 0.076 P
0.165 0.441 0.409 P
0.826 0.087 0.728 P
0.841 0.607 0.923 P
0.333 0.879 0.575 P
0.334 0.405 0.774 P
0.162 0.916 0.272 P
0.326 0.954 0.902 P
0.567 0.249 0.590 Li
0.689 0.746 0.751 Li
0.055 0.767 0.441 Li
0.055 0.227 0.905 Li
0.946 0.775 0.097 Li
0.304 0.257 0.251 Li
0.785 0.922 0.273 Fe
0.264 0.106 0.433 Fe
0.727 0.403 0.770 Fe
0.205 0.078 0.727 Fe
0.728 0.957 0.908 Fe
0.733 0.888 0.571 Fe
0.268 0.045 0.094 Fe
0.221 0.616 0.924 Fe
0.781 0.383 0.073 Fe
0.220 0.548 0.601 Fe
0.285 0.599 0.230 Fe
0.784 0.450 0.404 Fe
```



Material: Li5Fe6P5O24
Method: DFT, GGA+U
State: relaxed

Properties
corrected total energy (MP2020 scheme): -298.16 eV/cell
energy: -6.70 eV/atom
total magnetic moment: 0.750 μB per atom

```
Li5Fe6P5O24
1.0
6.504 0.000 0.000
-0.022 6.858 0.000
-3.177 -3.069 9.545
O Fe Li P
24 6 5 5
Direct
0.331 0.646 0.775 O
0.692 0.475 0.379 O
0.099 0.861 0.594 O
0.094 0.305 0.621 O
0.161 0.421 0.875 O
0.491 0.751 0.591 O
0.867 0.601 0.176 O
0.333 0.542 0.214 O
0.915 0.613 0.715 O
0.155 0.534 0.430 O
0.089 0.866 0.102 O
0.447 0.129 0.782 O
0.761 0.892 0.911 O
0.371 0.218 0.303 O
0.952 0.157 0.328 O
0.529 0.825 0.106 O
0.704 0.446 0.867 O
0.558 0.269 0.129 O
0.246 0.899 0.411 O
0.523 0.310 0.611 O
0.668 0.921 0.384 O
0.150 0.998 0.913 O
0.974 0.219 0.075 O
0.802 0.107 0.720 O
0.630 0.650 0.754 Fe
0.889 0.379 0.243 Fe
0.813 0.874 0.244 Fe
0.124 0.109 0.756 Fe
0.385 0.853 0.244 Fe
0.232 0.245 0.457 Fe
0.754 0.765 0.516 Li
0.015 0.504 0.035 Li
0.484 0.988 0.982 Li
0.531 0.520 0.020 Li
0.759 0.225 0.475 Li
0.620 0.237 0.747 P
0.479 0.379 0.256 P
0.251 0.763 0.509 P
0.996 0.994 0.001 P
0.126 0.510 0.750 P
```



Material: Li3Fe4P6O24
Method: DFT, GGA+U
State: relaxed

Properties
corrected total energy (MP2020 scheme): -276.15 eV/cell
energy: -6.77 eV/atom
energy above the lowest structure with this stoichiometry: 0 meV per atom
total magnetic moment: 0.241 μB per atom

```
Li3Fe4P6O24
1.0
8.640 0.000 0.000
4.275 7.556 0.000
4.313 2.533 7.263
O Li P Fe
24 3 6 4
Direct
0.727 0.467 0.442 O
0.116 0.294 0.569 O
0.873 0.709 0.446 O
0.274 0.541 0.555 O
0.214 0.566 0.258 O
0.064 0.907 0.263 O
0.539 0.792 0.728 O
0.991 0.797 0.089 O
0.415 0.569 0.740 O
0.506 0.854 0.399 O
0.236 0.356 0.899 O
0.994 0.199 0.928 O
0.769 0.413 0.765 O
0.486 0.147 0.603 O
0.729 0.921 0.749 O
0.381 0.964 0.944 O
0.754 0.653 0.100 O
0.455 0.211 0.272 O
0.943 0.077 0.748 O
0.603 0.418 0.257 O
0.949 0.307 0.218 O
0.277 0.081 0.241 O
0.629 0.043 0.054 O
0.067 0.709 0.772 O
0.636 0.345 0.050 Li
0.103 0.296 0.343 Li
0.964 0.829 0.555 Li
0.037 0.745 0.259 P
0.473 0.041 0.241 P
0.249 0.541 0.741 P
0.958 0.245 0.753 P
0.756 0.464 0.255 P
0.532 0.959 0.756 P
0.357 0.364 0.435 Fe
0.643 0.643 0.569 Fe
0.850 0.864 0.934 Fe
0.152 0.129 0.071 Fe
```